Entry 1:
Density functional theory data (PBE) for a geometry-optimized YMn2Ge2 structure.

Values from the calculation:
DFT formation energy = -0.4884 eV per atom

Cell lengths 6.129, 6.129, 6.129 Å; angles 142.41, 142.41, 54.21 degrees
Atoms (fractional coordinates):
Ge  0.619  0.619  0.000
Ge  0.381  0.381  0.000
Y  0.000  0.000  0.000
Mn  0.750  0.250  0.500
Mn  0.250  0.750  0.500

***

Entry 2:
Density functional theory data (PBE) for a geometry-optimized CeSe2 structure.

Values from the calculation:
DFT formation energy = -1.3952 eV per atom

Cell lengths 14.460, 26.654, 26.654 Å; angles 75.44, 74.26, 74.26 degrees
Atoms (fractional coordinates):
Se  0.041  0.553  0.865
Se  0.925  0.159  0.022
Se  0.500  0.850  0.150
Se  0.519  0.731  0.731
Se  0.795  0.651  0.789
Se  0.880  0.900  0.307
Se  0.646  0.126  0.516
Se  0.822  0.390  0.034
Se  0.394  0.022  0.159
Se  0.184  0.218  0.914
Se  0.587  0.693  0.100
Se  0.788  0.484  0.874
Se  0.265  0.789  0.651
Se  0.000  0.150  0.850
Se  0.735  0.349  0.211
Se  0.959  0.135  0.447
Se  0.649  0.101  0.101
Se  0.427  0.031  0.615
Se  0.394  0.159  0.022
Se  0.788  0.874  0.484
Se  0.212  0.516  0.126
Se  0.427  0.615  0.031
Se  0.413  0.307  0.900
Se  0.573  0.969  0.385
Se  0.573  0.385  0.969
Se  0.606  0.978  0.841
Se  0.212  0.126  0.516
Se  0.481  0.269  0.269
Se  0.959  0.447  0.135
Se  0.816  0.782  0.086
Se  0.351  0.899  0.899
Se  0.822  0.034  0.390
Se  0.178  0.966  0.610
Se  0.075  0.978  0.841
Se  0.639  0.815  0.815
Se  0.041  0.865  0.553
Se  0.231  0.815  0.815
Se  0.075  0.841  0.978
Se  0.769  0.185  0.185
Se  0.606  0.841  0.978
Se  0.747  0.610  0.966
Se  0.120  0.100  0.693
Se  0.178  0.610  0.966
Se  0.265  0.651  0.789
Se  0.587  0.100  0.693
Se  0.880  0.307  0.900
Se  0.816  0.086  0.782
Se  0.735  0.211  0.349
Se  0.795  0.789  0.651
Se  0.925  0.022  0.159
Se  0.354  0.874  0.484
Se  0.500  0.150  0.850
Se  0.413  0.900  0.307
Se  0.184  0.914  0.218
Se  0.253  0.390  0.034
Se  0.361  0.185  0.185
Se  0.000  0.850  0.150
Se  0.205  0.211  0.349
Se  0.253  0.034  0.390
Se  0.120  0.693  0.100
Se  0.646  0.516  0.126
Se  0.354  0.484  0.874
Se  0.205  0.349  0.211
Se  0.747  0.966  0.610
Ce  0.627  0.792  0.078
Ce  0.817  0.117  0.117
Ce  0.790  0.127  0.425
Ce  0.449  0.117  0.117
Ce  0.680  0.254  0.254
Ce  0.997  0.208  0.922
Ce  0.234  0.056  0.608
Ce  0.183  0.883  0.883
Ce  0.398  0.944  0.392
Ce  0.602  0.056  0.608
Ce  0.687  0.746  0.746
Ce  0.766  0.944  0.392
Ce  0.320  0.746  0.746
Ce  0.842  0.873  0.575
Ce  0.398  0.392  0.944
Ce  0.158  0.425  0.127
Ce  0.997  0.922  0.208
Ce  0.842  0.575  0.873
Ce  0.373  0.208  0.922
Ce  0.766  0.392  0.944
Ce  0.551  0.883  0.883
Ce  0.003  0.792  0.078
Ce  0.602  0.608  0.056
Ce  0.627  0.078  0.792
Ce  0.210  0.575  0.873
Ce  0.003  0.078  0.792
Ce  0.790  0.425  0.127
Ce  0.234  0.608  0.056
Ce  0.373  0.922  0.208
Ce  0.210  0.873  0.575
Ce  0.158  0.127  0.425
Ce  0.313  0.254  0.254

***

Entry 3:
Density functional theory data (PBE) for a geometry-optimized Ca5P3O13 structure.

Values from the calculation:
DFT formation energy = -3.2433 eV per atom

Cell lengths 6.928, 9.530, 19.066 Å; angles 60.02, 90.00, 90.00 degrees
Atoms (fractional coordinates):
O  0.258  0.172  0.672
O  0.940  0.407  0.619
O  0.586  0.255  0.911
O  0.742  0.828  0.328
O  0.740  0.655  0.008
O  0.580  0.421  0.625
O  0.240  0.345  0.492
O  0.246  0.985  0.086
O  0.086  0.745  0.589
O  0.560  0.407  0.119
O  0.788  0.498  0.751
O  0.254  0.985  0.586
O  0.288  0.502  0.749
O  0.746  0.015  0.414
O  0.440  0.593  0.881
O  0.761  0.377  0.018
O  0.754  0.015  0.914
O  0.061  0.153  0.293
O  0.760  0.655  0.508
O  0.561  0.847  0.207
O  0.728  0.035  0.043
O  0.739  0.377  0.518
O  0.939  0.847  0.707
O  0.255  0.914  0.311
O  0.239  0.623  0.982
O  0.260  0.345  0.992
O  0.060  0.593  0.381
O  0.758  0.828  0.828
O  0.228  0.965  0.457
O  0.745  0.086  0.689
O  0.245  0.914  0.811
O  0.261  0.623  0.482
O  0.445  0.774  0.568
O  0.920  0.421  0.125
O  0.755  0.086  0.189
O  0.555  0.226  0.432
O  0.080  0.579  0.875
O  0.055  0.774  0.068
O  0.578  0.833  0.710
O  0.422  0.167  0.290
O  0.242  0.172  0.172
O  0.922  0.833  0.210
O  0.439  0.153  0.793
O  0.712  0.498  0.251
O  0.272  0.965  0.957
O  0.945  0.226  0.932
O  0.078  0.167  0.790
O  0.420  0.579  0.375
O  0.414  0.745  0.089
O  0.772  0.035  0.543
O  0.914  0.255  0.411
O  0.212  0.502  0.249
P  0.745  0.469  0.066
P  0.755  0.469  0.566
P  0.253  0.870  0.551
P  0.755  0.897  0.736
P  0.747  0.130  0.449
P  0.753  0.130  0.949
P  0.745  0.897  0.236
P  0.247  0.870  0.051
P  0.245  0.103  0.264
P  0.255  0.531  0.934
P  0.255  0.103  0.764
P  0.245  0.531  0.434
Ca  0.500  0.165  0.579
Ca  0.243  0.495  0.126
Ca  0.500  0.835  0.421
Ca  0.245  0.750  0.248
Ca  0.755  0.250  0.752
Ca  0.997  0.833  0.413
Ca  0.497  0.167  0.087
Ca  0.003  0.167  0.587
Ca  0.260  0.254  0.874
Ca  0.000  0.835  0.921
Ca  0.743  0.505  0.374
Ca  0.757  0.505  0.874
Ca  0.240  0.254  0.374
Ca  0.745  0.250  0.252
Ca  0.255  0.750  0.748
Ca  0.740  0.746  0.126
Ca  0.000  0.165  0.079
Ca  0.503  0.833  0.913
Ca  0.257  0.495  0.626
Ca  0.760  0.746  0.626

***

Entry 4:
Density functional theory data (PBE) for a geometry-optimized Ba2ScCuO4 structure.

Values from the calculation:
DFT formation energy = -2.8800 eV per atom

Cell lengths 4.177, 4.177, 8.079 Å; angles 90.00, 90.00, 90.00 degrees
Atoms (fractional coordinates):
Ba  0.500  0.500  0.232
Ba  0.500  0.500  0.768
O  0.000  0.500  0.000
O  0.000  0.000  0.725
O  0.000  0.000  0.275
O  0.500  0.000  0.000
Cu  0.000  0.000  0.500
Sc  0.000  0.000  0.000

***

Entry 5:
Density functional theory data (PBE) for a geometry-optimized Sr2CaI6 structure.

Values from the calculation:
excess energy over the best structure of this formula in the dataset = 0.000 eV/atom
DFT formation energy = -1.9184 eV per atom

Cell lengths 13.882, 13.882, 7.485 Å; angles 90.00, 90.00, 120.00 degrees
Atoms (fractional coordinates):
Ca  0.333  0.667  0.496
Ca  0.667  0.333  0.504
Ca  0.000  0.000  0.000
I  0.215  0.125  0.238
I  0.228  0.775  0.253
I  0.878  0.419  0.258
I  0.772  0.547  0.747
I  0.547  0.772  0.253
I  0.453  0.225  0.747
I  0.785  0.910  0.762
I  0.125  0.215  0.762
I  0.775  0.228  0.747
I  0.875  0.090  0.238
I  0.225  0.453  0.253
I  0.090  0.875  0.762
I  0.581  0.460  0.258
I  0.419  0.878  0.742
I  0.122  0.540  0.742
I  0.540  0.122  0.258
I  0.910  0.785  0.238
I  0.460  0.581  0.742
Sr  0.000  0.643  0.000
Sr  0.690  0.690  0.500
Sr  0.643  0.000  0.000
Sr  0.357  0.357  0.000
Sr  0.000  0.310  0.500
Sr  0.310  0.000  0.500

***

Entry 6:
Density functional theory data (PBE) for a geometry-optimized Tb3Pm structure.

Values from the calculation:
excess energy over the best structure of this formula in the dataset = 0.000 eV/atom
DFT formation energy = 0.0187 eV per atom

Cell lengths 6.218, 6.218, 6.218 Å; angles 131.85, 131.85, 70.46 degrees
Atoms (fractional coordinates):
Tb  0.250  0.750  0.500
Tb  0.750  0.250  0.500
Tb  0.500  0.500  0.000
Pm  0.000  0.000  0.000

***

Entry 7:
Density functional theory data (PBE) for a geometry-optimized Rb5Te3H4NCl18 structure.

Values from the calculation:
DFT formation energy = -1.4492 eV per atom
piezoelectric modulus e_max = 0.4 C/m²

Cell lengths 7.416, 7.416, 18.166 Å; angles 90.00, 90.00, 120.00 degrees
Atoms (fractional coordinates):
Cl  0.327  0.164  0.082
Cl  0.830  0.170  0.585
Cl  0.007  0.503  0.252
Cl  0.341  0.170  0.585
Cl  0.674  0.837  0.919
Cl  0.170  0.830  0.415
Cl  0.836  0.164  0.082
Cl  0.163  0.326  0.919
Cl  0.497  0.993  0.252
Cl  0.993  0.496  0.748
Cl  0.504  0.496  0.748
Cl  0.497  0.503  0.252
Cl  0.170  0.341  0.415
Cl  0.830  0.659  0.585
Cl  0.659  0.830  0.415
Cl  0.163  0.837  0.919
Cl  0.504  0.007  0.748
Cl  0.836  0.673  0.082
H  0.409  0.819  0.102
H  0.333  0.667  0.026
H  0.409  0.591  0.102
H  0.181  0.591  0.102
Te  0.333  0.667  0.333
Te  0.667  0.333  0.667
Te  0.000  0.000  0.000
N  0.333  0.667  0.083
Rb  0.667  0.333  0.917
Rb  0.000  0.000  0.750
Rb  0.333  0.667  0.583
Rb  0.667  0.333  0.417
Rb  0.000  0.000  0.250

***

Entry 8:
Density functional theory data (PBE) for a geometry-optimized NaMg6Al structure.

Values from the calculation:
DFT formation energy = 0.0675 eV per atom

Cell lengths 5.113, 6.391, 11.163 Å; angles 90.00, 90.00, 90.00 degrees
Atoms (fractional coordinates):
Na  0.500  0.000  0.667
Na  0.500  0.500  0.167
Mg  0.000  0.255  0.584
Mg  0.000  0.745  0.584
Mg  0.500  0.748  0.417
Mg  0.000  0.500  0.831
Mg  0.000  0.000  0.835
Mg  0.000  0.000  0.331
Mg  0.500  0.252  0.417
Mg  0.500  0.752  0.917
Mg  0.000  0.245  0.084
Mg  0.000  0.500  0.335
Mg  0.500  0.248  0.917
Mg  0.000  0.755  0.084
Al  0.500  0.500  0.665
Al  0.500  0.000  0.165

***

Entry 9:
Density functional theory data (PBE) for a geometry-optimized MgTi2 structure.

Values from the calculation:
DFT formation energy = 0.1654 eV per atom

Cell lengths 4.706, 5.395, 8.766 Å; angles 90.00, 90.00, 90.00 degrees
Atoms (fractional coordinates):
Mg  0.500  0.081  0.663
Mg  0.000  0.919  0.837
Mg  0.000  0.919  0.163
Mg  0.500  0.081  0.337
Ti  0.000  0.436  0.000
Ti  0.500  0.142  0.000
Ti  0.500  0.583  0.165
Ti  0.000  0.858  0.500
Ti  0.500  0.583  0.835
Ti  0.000  0.417  0.665
Ti  0.000  0.417  0.335
Ti  0.500  0.564  0.500

***

Entry 10:
Density functional theory data (PBE) for a geometry-optimized YLuB8Ir8 structure.

Values from the calculation:
DFT formation energy = -0.5071 eV per atom

Cell lengths 5.398, 5.398, 7.454 Å; angles 90.00, 90.00, 90.00 degrees
Atoms (fractional coordinates):
B  0.172  0.500  0.346
B  0.000  0.673  0.847
B  0.000  0.327  0.847
B  0.500  0.828  0.654
B  0.327  0.000  0.153
B  0.828  0.500  0.346
B  0.500  0.172  0.654
B  0.673  0.000  0.153
Ir  0.500  0.748  0.354
Ir  0.249  0.000  0.857
Ir  0.252  0.500  0.646
Ir  0.748  0.500  0.646
Ir  0.500  0.252  0.354
Ir  0.751  0.000  0.857
Ir  0.000  0.751  0.143
Ir  0.000  0.249  0.143
Lu  0.500  0.500  0.000
Y  0.000  0.000  0.500

***

Entry 11:
Density functional theory data (PBE) for a geometry-optimized SrH4N2 structure.

Values from the calculation:
DFT formation energy = -0.6759 eV per atom

Cell lengths 7.780, 6.693, 6.755 Å; angles 70.55, 90.00, 90.00 degrees
Atoms (fractional coordinates):
H  0.412  0.640  0.476
H  0.034  0.879  0.934
H  0.534  0.621  0.066
H  0.274  0.828  0.374
H  0.322  0.258  0.108
H  0.226  0.328  0.374
H  0.588  0.360  0.524
H  0.822  0.242  0.892
H  0.178  0.758  0.108
H  0.726  0.172  0.626
H  0.966  0.121  0.066
H  0.466  0.379  0.934
H  0.774  0.672  0.626
H  0.678  0.742  0.892
H  0.088  0.140  0.476
H  0.912  0.860  0.524
N  0.615  0.750  0.024
N  0.115  0.750  0.976
N  0.860  0.726  0.503
N  0.640  0.226  0.503
N  0.385  0.250  0.976
N  0.360  0.774  0.497
N  0.140  0.274  0.497
N  0.885  0.250  0.024
Sr  0.878  0.502  0.249
Sr  0.378  0.998  0.751
Sr  0.122  0.498  0.751
Sr  0.622  0.002  0.249

***

Entry 12:
Density functional theory data (PBE) for a geometry-optimized Ca4Al6SO16 structure.

Values from the calculation:
excess energy over the best structure of this formula in the dataset = 0.052 eV/atom
DFT formation energy = -3.2437 eV per atom

Cell lengths 8.109, 8.109, 8.109 Å; angles 109.47, 109.47, 109.47 degrees
Atoms (fractional coordinates):
Ca  0.483  0.000  0.000
Ca  0.000  0.483  0.000
Ca  0.517  0.517  0.517
Ca  0.000  0.000  0.483
O  0.610  0.300  0.000
O  0.700  0.310  0.700
O  0.814  0.000  0.000
O  0.000  0.610  0.300
O  0.390  0.390  0.690
O  0.690  0.390  0.390
O  0.000  0.000  0.814
O  0.300  0.610  0.000
O  0.310  0.700  0.700
O  0.700  0.700  0.310
O  0.000  0.814  0.000
O  0.390  0.690  0.390
O  0.610  0.000  0.300
O  0.186  0.186  0.186
O  0.300  0.000  0.610
O  0.000  0.300  0.610
Al  0.500  0.750  0.250
Al  0.250  0.750  0.500
Al  0.750  0.250  0.500
Al  0.750  0.500  0.250
Al  0.250  0.500  0.750
Al  0.500  0.250  0.750
S  0.000  0.000  0.000